# 1
Here is Li3Mg after structural relaxation from Materials Project. Energies are from meta-GGA r2SCAN.

Cell: 5.851 5.851 5.851 Å, 149.32 126.49 62.96°
Positions (direct):
Li (0.248, 0.250, 0.998)
Mg (0.337, 0.000, 0.337)
Li (0.834, 0.500, 0.334)
Li (0.748, 0.750, 0.998)

Properties
Calculated density: 0.92 g/cm3
Magnetization: 0.00 μB per atom
Crystal system: orthorhombic
Energy of formation: -2.1 kJ per mole of atoms



# 2
Here is Li3Mg after structural relaxation from Materials Project. Energies are from meta-GGA r2SCAN.

Cell: 3.051 5.055 5.277 Å, 90.00 90.00 90.00°
Positions (direct):
Li (0.500, 0.500, 0.836)
Li (0.000, 0.000, 0.995)
Mg (0.000, 0.500, 0.343)
Li (0.500, 0.000, 0.493)

Properties
Calculated density: 0.92 g/cm3
Magnetization: 0.00 μB per atom
Crystal system: orthorhombic
Energy of formation: -2.3 kJ per mole of atoms



# 3
Here is LiMg after structural relaxation from Materials Project. Energies are from meta-GGA r2SCAN.

Cell: 3.415 3.415 3.415 Å, 90.00 90.00 90.00°
Positions (direct):
Li (0.000, 0.000, 0.000)
Mg (0.500, 0.500, 0.500)

Properties
Calculated density: 1.30 g/cm3
Magnetization: 0.00 μB per atom
Crystal system: cubic
Energy of formation: -4.4 kJ per mole of atoms



# 4
Here is LiMg after structural relaxation from Materials Project. Energies are from meta-GGA r2SCAN.

Cell: 3.052 5.026 5.380 Å, 90.00 90.00 90.00°
Positions (direct):
Li (0.500, 0.750, 0.334)
Mg (0.000, 0.250, 0.171)
Li (0.500, 0.250, 0.666)
Mg (0.000, 0.750, 0.829)

Properties
Calculated density: 1.26 g/cm3
Magnetization: 0.00 μB per atom
Crystal system: orthorhombic
Energy of formation: -2.4 kJ per mole of atoms



# 5
Here is LiMg after structural relaxation from Materials Project. Energies are from meta-GGA r2SCAN.

Cell: 5.720 5.720 6.746 Å, 72.61 72.61 35.39°
Positions (direct):
Mg (0.631, 0.631, 0.224)
Li (0.982, 0.982, 0.556)
Li (0.971, 0.971, 0.052)
Li (0.633, 0.633, 0.728)
Mg (0.308, 0.308, 0.876)
Mg (0.310, 0.310, 0.397)

Properties
Calculated density: 1.28 g/cm3
Magnetization: 0.00 μB per atom
Crystal system: monoclinic
Energy of formation: -4.5 kJ per mole of atoms



# 6
Here is LiMg after structural relaxation from Materials Project. Energies are from meta-GGA r2SCAN.

Cell: 5.695 5.695 4.899 Å, 64.69 64.69 34.48°
Positions (direct):
Mg (0.115, 0.115, 0.135)
Mg (0.885, 0.885, 0.865)
Li (0.633, 0.633, 0.616)
Li (0.367, 0.367, 0.384)

Properties
Calculated density: 1.29 g/cm3
Magnetization: 0.00 μB per atom
Crystal system: monoclinic
Energy of formation: -5.0 kJ per mole of atoms



- Among the records above, which one has the highest energy of formation?
  number 1



- Look up the calculated density of the sixth one.
  1.29 g/cm3



- The highest calculated density belongs to which entry?
  number 3



- Among the records above, which one has the highest calculated density?
  number 3